[1]
Sn2P2O7: optimized geometry, PBE.

The structure in extended XYZ format:
```
66
Lattice="4.897 10.876 0.000 -4.897 10.876 0.000 0.000 2.391 9.356" Properties=species:S:1:pos:R:3 pbc="T T T"
Sn 3.055 10.860 0.084
Sn 1.791 7.710 1.536
Sn -1.903 7.540 1.643
Sn -1.885 15.418 3.014
Sn 1.823 15.250 3.152
Sn 3.003 12.061 4.588
Sn -3.055 12.056 4.762
Sn -1.791 8.905 6.214
Sn 1.903 8.736 6.322
Sn 1.885 16.613 7.692
Sn -1.823 16.445 7.830
Sn -3.003 13.257 9.266
P 0.171 16.630 0.259
P -0.154 12.633 1.402
P -0.111 2.607 1.692
P -0.117 20.300 3.023
P -0.183 10.270 3.317
P 0.156 6.271 4.410
P -0.171 17.826 4.937
P 0.154 13.829 6.080
P 0.111 3.803 6.370
P 0.117 21.496 7.701
P 0.183 11.466 7.995
P -0.156 7.466 9.088
O -1.310 12.755 0.387
O 1.179 12.217 0.816
O -0.007 1.279 0.892
O -0.526 3.711 0.559
O -0.045 6.225 0.770
O -1.152 16.760 1.030
O 1.411 16.482 1.167
O -0.751 11.461 2.366
O -0.049 13.929 2.255
O -3.689 13.904 2.314
O 3.582 13.401 2.666
O 3.592 9.513 2.033
O -3.695 9.000 2.405
O -0.112 8.982 2.443
O 1.403 6.431 3.512
O -1.152 6.127 3.616
O -0.075 16.696 3.887
O 1.310 13.950 5.065
O -0.548 19.193 4.148
O -0.020 21.627 3.824
O -1.179 13.412 5.494
O 1.178 10.651 3.883
O 0.007 2.475 5.570
O 0.526 4.907 5.237
O -1.323 10.170 4.343
O 0.045 7.420 5.448
O 1.152 17.955 5.708
O -1.411 17.678 5.845
O 0.751 12.656 7.044
O 0.049 15.124 6.933
O 3.689 15.099 6.992
O -3.582 14.596 7.344
O -3.592 10.709 6.711
O 3.695 10.195 7.083
O 0.112 10.178 7.121
O -1.403 7.626 8.190
O 1.152 7.323 8.294
O 0.075 17.892 8.565
O 0.548 20.389 8.826
O 0.020 22.823 8.502
O -1.178 11.846 8.561
O 1.323 11.365 9.021
```

[2]
Sn2P3O10: optimized geometry, PBE.

The structure in extended XYZ format:
```
30
Lattice="5.278 5.614 0.000 -5.278 5.614 0.000 0.000 5.071 8.840" Properties=species:S:1:pos:R:3 pbc="T T T"
Sn -0.172 12.034 8.014
Sn 0.172 9.498 3.594
Sn -0.172 6.801 5.247
Sn 0.172 4.266 0.827
P 2.539 11.709 7.373
P 4.262 9.418 6.630
P 2.539 7.126 5.888
P -2.539 9.174 2.953
P -4.262 6.882 2.210
P -2.539 4.590 1.467
O -0.195 14.121 7.521
O 3.287 10.251 7.578
O 1.267 11.451 6.502
O 0.195 11.585 3.101
O 1.705 9.286 2.111
O 3.287 8.584 5.682
O -1.705 11.822 6.532
O 2.030 12.120 8.747
O 2.030 6.715 4.514
O -1.267 8.915 2.082
O 1.267 7.384 6.758
O -2.030 9.584 4.326
O -2.030 4.180 0.094
O 1.705 4.478 2.309
O -3.287 7.715 3.158
O -1.705 7.013 6.729
O -0.195 4.715 5.740
O -1.267 4.849 2.338
O -3.287 6.048 1.262
O 0.195 2.179 1.319
```

[3]
Sn2P3O10: optimized geometry, PBE.

The structure in extended XYZ format:
```
30
Lattice="-3.787 6.823 -5.350 -2.029 -3.577 -3.125 -8.400 -1.569 3.944" Properties=species:S:1:pos:R:3 pbc="T T T"
Sn -8.417 2.590 -6.750
Sn -6.850 -0.233 -4.536
Sn -7.366 1.910 0.006
Sn -5.799 -0.913 2.219
P -11.498 1.144 -2.951
P -5.426 -0.771 -1.325
P -8.752 -1.186 0.499
P -5.464 2.864 -5.029
P -8.790 2.448 -3.205
P -2.719 0.533 -1.579
O -12.153 1.543 -4.257
O -11.121 -0.315 -2.801
O -8.732 -2.135 -0.725
O -6.407 -0.393 -2.418
O -5.380 -2.243 -0.967
O -8.510 1.605 -4.478
O -6.503 3.240 -6.093
O -5.471 1.381 -4.635
O -4.014 3.163 -5.674
O -10.258 2.085 -2.628
O -3.958 -0.408 -1.902
O -10.203 -1.486 1.144
O -8.745 0.296 0.105
O -7.713 -1.563 1.563
O -5.706 0.072 -0.052
O -8.836 3.920 -3.563
O -7.809 2.070 -2.113
O -5.484 3.812 -3.805
O -3.095 1.992 -1.730
O -2.064 0.134 -0.273
```

[4]
Sn6P7O24: optimized geometry, PBE.

The structure in extended XYZ format:
```
74
Lattice="27.602 0.000 0.000 0.000 6.096 0.000 0.000 2.536 6.761" Properties=species:S:1:pos:R:3 pbc="T T T"
Sn 18.913 2.643 4.707
Sn 10.979 3.674 6.176
Sn 16.622 4.959 0.585
Sn 12.541 6.772 4.668
Sn 1.259 6.772 4.668
Sn 24.780 4.959 0.585
Sn 8.688 5.990 2.055
Sn 26.342 1.860 2.093
Sn 5.113 5.990 2.055
Sn 2.821 3.674 6.176
Sn 15.060 1.860 2.093
Sn 22.489 2.643 4.707
P 2.903 2.995 2.588
P 13.068 4.791 1.306
P 18.485 1.916 1.243
P 14.534 3.841 5.456
P 20.701 5.535 6.209
P 0.733 4.791 1.306
P 10.898 2.995 2.588
P 6.900 3.097 0.552
P 4.685 6.717 5.519
P 26.869 3.841 5.456
P 16.704 5.638 4.174
P 9.116 6.717 5.519
P 22.917 1.916 1.243
P 24.698 5.638 4.174
O 4.522 7.945 6.429
O 20.701 4.253 5.384
O 14.537 2.709 4.448
O 5.610 5.631 6.343
O 13.065 5.923 2.314
O 17.095 6.866 5.017
O 24.307 6.866 5.017
O 2.490 2.543 4.028
O 19.140 1.656 2.580
O 9.912 4.135 2.646
O 15.312 5.139 4.866
O 3.331 5.939 5.358
O 11.310 2.543 4.028
O 6.900 1.778 1.271
O 3.295 1.766 1.744
O 16.291 6.089 2.734
O 23.713 4.497 4.115
O 26.090 5.139 4.866
O 6.900 4.379 1.377
O 14.454 4.173 1.000
O 22.262 1.656 2.580
O 24.271 2.693 1.404
O 0.736 5.923 2.314
O 18.322 0.688 0.332
O 26.150 0.877 0.008
O 0.653 4.460 5.762
O 25.111 6.089 2.734
O 10.506 1.766 1.744
O 8.191 5.631 6.343
O 23.080 0.688 0.332
O 10.470 5.939 5.358
O 1.452 7.755 6.753
O 9.279 7.945 6.429
O 3.888 4.135 2.646
O 17.689 4.497 4.115
O 15.252 0.877 0.008
O 1.512 3.493 1.896
O 8.462 6.976 4.181
O 12.289 3.493 1.896
O 5.339 6.976 4.181
O 26.948 4.173 1.000
O 26.866 2.709 4.448
O 19.411 3.001 0.419
O 17.132 2.693 1.404
O 12.349 7.755 6.753
O 21.992 3.001 0.419
O 20.701 6.854 5.490
O 13.147 4.460 5.762
```

[5]
SnP2O9: optimized geometry, PBE.

The structure in extended XYZ format:
```
48
Lattice="5.133 0.000 0.000 0.000 8.704 0.000 0.000 5.706 15.082" Properties=species:S:1:pos:R:3 pbc="T T T"
Sn 3.900 9.375 7.240
Sn 1.233 5.035 7.843
Sn 1.334 2.182 0.302
Sn 3.799 12.227 14.781
P 3.782 6.276 5.961
P 1.351 8.133 9.121
P 1.216 5.281 1.580
P 3.917 9.129 13.503
P 3.910 9.308 1.755
P 1.223 5.102 13.328
P 1.343 2.249 5.787
P 3.789 12.160 9.296
O 2.155 6.297 0.909
O 2.978 8.112 14.174
O 4.721 5.259 6.632
O 0.412 9.150 8.450
O 4.095 8.871 3.251
O 1.038 5.538 11.831
O 1.528 2.685 4.290
O 3.605 11.724 10.792
O 4.912 5.370 1.028
O 0.221 9.040 14.055
O 2.345 6.187 6.513
O 2.787 8.222 8.569
O 4.330 7.711 6.113
O 0.803 6.699 8.969
O 1.764 3.846 1.428
O 3.369 10.563 13.655
O 3.721 5.934 4.426
O 1.412 8.476 10.656
O 1.155 5.623 3.115
O 3.978 8.786 11.967
O 3.291 3.770 3.897
O 1.842 10.640 11.185
O 0.724 7.787 3.644
O 4.408 6.623 11.438
O 2.245 9.735 6.079
O 2.888 4.675 9.004
O 4.811 1.822 1.462
O 0.322 12.588 13.620
O 4.318 8.114 0.884
O 0.815 6.296 14.198
O 1.751 3.443 6.657
O 3.381 10.967 8.425
O 4.996 10.563 5.965
O 0.136 3.846 9.117
O 2.430 0.994 1.576
O 2.703 13.416 13.507
```

[6]
SnP2O6: optimized geometry, PBE.

The structure in extended XYZ format:
```
36
Lattice="-7.665 -2.230 -1.255 2.511 -5.576 -5.282 0.715 -6.531 7.236" Properties=species:S:1:pos:R:3 pbc="T T T"
Sn 0.526 -7.236 -0.096
Sn -4.117 -5.817 1.870
Sn -0.667 -5.366 -4.665
Sn -4.619 -10.254 4.289
P 0.122 -3.714 -0.221
P -1.767 -6.391 4.464
P -1.815 -2.750 -2.303
P -6.839 -7.223 4.057
P 2.400 -7.114 -3.358
P -2.981 -8.322 -0.617
P -4.578 -10.468 0.748
P -2.655 -8.101 -3.594
O 0.338 -2.893 1.141
O -0.682 -5.243 4.751
O -0.314 -5.120 0.143
O -2.189 -6.285 3.012
O -1.140 -2.924 -0.849
O -0.856 -7.713 4.646
O 1.772 -7.512 1.934
O -3.975 -3.439 1.600
O -6.118 -6.374 3.054
O 1.979 -7.509 -1.975
O -3.284 -3.013 -2.134
O -0.307 -10.040 3.909
O -1.484 -8.317 -0.499
O -3.803 -7.305 0.122
O -6.235 -8.509 4.535
O 1.495 -6.283 -4.217
O -0.355 -11.899 0.207
O -6.320 -5.824 -2.344
O -3.475 -9.808 -0.231
O -3.408 -8.229 -2.169
O -3.970 -10.635 2.126
O -2.405 -6.635 -3.884
O -3.810 -8.615 -4.584
O -4.724 -11.924 0.089
```

[7]
SnP4O11: optimized geometry, PBE.

The structure in extended XYZ format:
```
64
Lattice="-7.646 -1.216 10.446 -6.513 -3.287 -5.150 -3.209 -11.789 -3.721" Properties=species:S:1:pos:R:3 pbc="T T T"
Sn -9.131 -10.795 -0.368
Sn -13.174 -11.922 4.634
Sn -4.195 -4.370 -3.059
Sn -8.237 -5.497 1.942
P -6.743 -8.834 -2.597
P -7.678 -6.220 -3.640
P -10.502 -7.321 -0.508
P -13.235 -8.454 2.984
P -3.963 -2.172 2.411
P -9.027 -3.674 9.088
P -11.589 -13.250 1.434
P -6.818 -3.976 5.343
P -10.551 -12.316 -3.768
P -5.780 -3.042 0.140
P -8.341 -12.617 -7.513
P -13.405 -14.120 -0.836
P -4.133 -7.838 -1.410
P -6.866 -8.971 2.083
P -9.690 -10.072 5.215
P -10.626 -7.458 4.171
O -10.945 -10.827 5.088
O -9.335 -6.549 0.000
O -11.691 -8.205 3.152
O -6.070 -9.180 -3.870
O -7.497 -9.818 -1.776
O -7.569 -12.792 -0.513
O -7.784 -7.577 -2.837
O -8.903 -5.396 -3.039
O -13.920 -7.188 3.656
O -5.338 -3.398 5.364
O -10.597 -8.807 -0.461
O -1.560 -1.017 -1.031
O -8.091 -6.628 -5.118
O -13.738 -9.766 3.415
O -12.239 -12.490 2.534
O -4.247 -3.591 3.063
O -10.631 -12.645 0.481
O -6.917 -5.010 6.551
O -7.693 -2.774 5.881
O -4.570 -2.271 0.963
O -10.127 -11.693 -2.506
O -7.586 -11.910 -6.442
O -9.782 -4.382 8.017
O -7.242 -4.598 4.081
O -12.798 -14.021 0.612
O -9.676 -13.517 -4.306
O -10.451 -11.282 -4.976
O -6.737 -3.647 1.094
O -13.121 -12.701 -1.488
O -5.129 -3.801 -0.959
O -3.630 -6.526 -1.841
O -9.277 -9.664 6.693
O -15.809 -15.275 2.606
O -6.771 -7.485 2.036
O -12.030 -12.894 -3.790
O -3.449 -9.104 -2.081
O -8.466 -10.896 4.614
O -9.584 -8.715 4.412
O -9.800 -3.500 2.088
O -9.871 -6.474 3.351
O -11.298 -7.112 5.444
O -5.678 -8.087 -1.577
O -8.033 -9.743 1.574
O -6.423 -5.465 -3.513
```

[8]
SnP2O7: optimized geometry, PBE.

The structure in extended XYZ format:
```
20
Lattice="-1.641 1.901 4.524 -6.425 -2.085 -1.166 -1.307 -7.737 3.161" Properties=species:S:1:pos:R:3 pbc="T T T"
Sn -2.715 -5.651 3.182
Sn -6.658 -2.270 3.337
P -1.323 -1.084 1.488
P -3.783 -2.817 1.694
P -5.590 -5.104 4.825
P -8.050 -6.837 5.032
O -2.853 -4.004 1.956
O -7.136 -7.884 1.556
O -4.609 -2.940 0.416
O -2.858 -1.536 1.435
O -2.678 -7.344 4.327
O -7.224 -3.442 1.742
O -4.726 -5.466 3.614
O -4.648 -2.455 2.905
O -2.149 -4.479 4.777
O -6.695 -0.577 2.193
O -6.515 -6.385 5.085
O -4.764 -4.980 6.103
O -2.237 -0.037 4.963
O -6.520 -3.917 4.563
```

no.,formation energy (eV/atom)
1,-2.290
2,-2.297
3,-2.362
4,-2.313
5,-1.802
6,-2.370
7,-2.456
8,-2.527